The following is a meta-GGA r2SCAN calculation of a geometry-optimized TmMn2O5 structure, from the Materials Project.

```
TmMn2O5
1.0
-4.8749 0.6994 -2.7940
-0.2459 -7.0151 -1.3269
-4.2655 -1.2012 7.1415
Mn O Tm
8 20 4
Direct
0.7530 0.0000 0.5000
0.0000 0.0869 0.1518
0.2470 0.0000 0.5000
0.2470 0.5000 0.0000
0.0000 0.5869 0.3482
0.7530 0.5000 0.0000
0.0000 0.9131 0.8482
0.0000 0.4131 0.6518
0.5000 0.8346 0.4417
0.2315 0.0000 0.0000
0.2592 0.8910 0.7065
0.7408 0.3910 0.7935
0.0000 0.3473 0.0690
0.2592 0.1090 0.2935
0.0000 0.6527 0.9310
0.2315 0.5000 0.5000
0.2592 0.3910 0.7935
0.7685 0.0000 0.0000
0.5000 0.6654 0.9417
0.0000 0.8473 0.4310
0.7408 0.1090 0.2935
0.5000 0.3346 0.0583
0.7408 0.8910 0.7065
0.7408 0.6090 0.2065
0.7685 0.5000 0.5000
0.0000 0.1527 0.5690
0.5000 0.1654 0.5583
0.2592 0.6090 0.2065
0.5000 0.8637 0.1703
0.5000 0.1363 0.8297
0.5000 0.6363 0.6703
0.5000 0.3637 0.3297
```

Calculated values
As for the space-group type: No. 55. The formation energy is -2.7916 eV/atom.

=====

The following is a meta-GGA r2SCAN calculation of a geometry-optimized Tm2Mn2O7 structure, from the Materials Project.

```
Tm2Mn2O7
1.0
4.1310 -1.8060 5.2631
1.1342 4.4424 5.1967
-2.7025 -1.2296 6.2619
Mn O Tm
4 14 4
Direct
0.6250 0.1250 0.6250
0.1250 0.6250 0.6250
0.6250 0.6250 0.6250
0.6250 0.6250 0.1250
0.2950 0.7050 0.2950
0.7050 0.2950 0.7050
0.9550 0.5450 0.5450
0.5450 0.9550 0.9550
0.2500 0.2500 0.2500
0.2950 0.7050 0.7050
0.9550 0.9550 0.5450
0.0000 0.0000 0.0000
0.5450 0.5450 0.9550
0.7050 0.7050 0.2950
0.7050 0.2950 0.2950
0.9550 0.5450 0.9550
0.2950 0.2950 0.7050
0.5450 0.9550 0.5450
0.6250 0.1250 0.1250
0.1250 0.1250 0.1250
0.1250 0.6250 0.1250
0.1250 0.1250 0.6250
```

Calculated values
As for the space-group type: No. 227. The formation energy is -3.0398 eV/atom.

=====

The following is a meta-GGA r2SCAN calculation of a geometry-optimized Mn5VO8 structure, from the Materials Project.

```
Mn5VO8
1.0
5.3334 -0.0006 -0.8814
-0.3501 5.9070 -1.8011
0.0122 0.0102 10.1784
O Mn V
16 10 2
Direct
0.1317 0.6976 0.3865
0.3930 0.5734 0.1399
0.9122 0.8154 0.6332
0.8898 0.3522 0.1227
0.9004 0.7904 0.1084
0.6070 0.4266 0.8601
0.0996 0.2096 0.8916
0.3271 0.0567 0.1118
0.8683 0.3024 0.6135
0.0878 0.1846 0.3668
0.3699 0.5886 0.6324
0.6301 0.4114 0.3676
0.1102 0.6478 0.8773
0.6335 0.9532 0.3663
0.6729 0.9433 0.8882
0.3665 0.0468 0.6337
0.2535 0.3809 0.2667
0.0000 0.5000 0.0000
0.5052 0.2498 0.0038
0.2418 0.3627 0.7315
0.2584 0.8931 0.2663
0.7582 0.6373 0.2685
0.0000 0.0000 0.0000
0.7416 0.1069 0.7337
0.4948 0.7502 0.9962
0.7465 0.6191 0.7333
0.1972 0.7871 0.5731
0.8028 0.2129 0.4269
```

Calculated values
As for the space-group type: No. 2. The formation energy is -2.2027 eV/atom.

=====

The following is a meta-GGA r2SCAN calculation of a geometry-optimized Mn5V4O12 structure, from the Materials Project.

```
Mn5V4O12
1.0
4.3217 4.2842 -0.0133
-4.3218 4.2842 -0.0132
-0.0001 4.1666 12.5713
V O Mn
8 24 10
Direct
0.5001 0.4999 0.0000
0.5000 0.0000 0.0000
0.6613 0.1747 0.1634
0.8253 0.3387 0.3366
0.0000 0.5000 0.5000
0.3387 0.8253 0.8367
0.5001 0.5000 0.5000
0.1747 0.6613 0.6634
0.8918 0.4008 0.1776
0.4009 0.8917 0.6777
0.2499 0.2792 0.5042
0.9418 0.4239 0.6559
0.7207 0.7502 0.9959
0.7501 0.7208 0.4958
0.4238 0.9419 0.1559
0.6019 0.5768 0.3417
0.1044 0.0451 0.8304
0.5761 0.0581 0.8441
0.7226 0.2469 0.0020
0.0582 0.5761 0.3441
0.5767 0.6018 0.8418
0.9551 0.8958 0.6696
0.4232 0.3982 0.1582
0.2774 0.7531 0.9979
0.5991 0.1082 0.3224
0.3981 0.4232 0.6583
0.7532 0.2774 0.4979
0.2468 0.7226 0.5021
0.8957 0.9549 0.1696
0.2792 0.2499 0.0041
0.1082 0.5993 0.8223
0.0449 0.1042 0.3304
0.7133 0.9533 0.5850
0.3719 0.6281 0.2500
0.0467 0.2867 0.9150
0.2866 0.0466 0.4151
0.6280 0.3720 0.7500
0.1586 0.1731 0.1666
0.1731 0.1587 0.6667
0.8414 0.8270 0.8334
0.8269 0.8414 0.3333
0.9534 0.7133 0.0849
```

Calculated values
As for the space-group type: No. 15. The formation energy is -2.3662 eV/atom.

=====

- What is the formula in the second record?
  Tm2Mn2O7